{"formula": "Li2CrPO4F", "functional": "PBE+U", "state": "optimized geometry", "lattice_angstrom": [[5.200, 0.000, 0.000], [0.000, 13.268, 0.000], [0.000, 0.000, 11.444]], "species": ["Li", "Li", "Li", "Li", "Li", "Li", "Li", "Li", "Li", "Li", "Li", "Li", "Li", "Li", "Li", "Li", "Cr", "Cr", "Cr", "Cr", "Cr", "Cr", "Cr", "Cr", "P", "P", "P", "P", "P", "P", "P", "P", "O", "O", "O", "O", "O", "O", "O", "O", "O", "O", "O", "O", "O", "O", "O", "O", "O", "O", "O", "O", "O", "O", "O", "O", "O", "O", "O", "O", "O", "O", "O", "O", "F", "F", "F", "F", "F", "F", "F", "F"], "fractional_positions": [[0.220, 0.240, 0.181], [0.220, 0.760, 0.681], [0.232, 0.364, 0.902], [0.232, 0.636, 0.402], [0.268, 0.136, 0.402], [0.268, 0.864, 0.902], [0.280, 0.260, 0.681], [0.280, 0.740, 0.181], [0.720, 0.260, 0.819], [0.720, 0.740, 0.319], [0.732, 0.136, 0.098], [0.732, 0.864, 0.598], [0.768, 0.364, 0.598], [0.768, 0.636, 0.098], [0.780, 0.240, 0.319], [0.780, 0.760, 0.819], [0.234, 0.488, 0.671], [0.234, 0.512, 0.171], [0.266, 0.012, 0.171], [0.266, 0.988, 0.671], [0.734, 0.012, 0.329], [0.734, 0.988, 0.829], [0.766, 0.488, 0.829], [0.766, 0.512, 0.329], [0.199, 0.126, 0.913], [0.199, 0.874, 0.413], [0.301, 0.374, 0.413], [0.301, 0.626, 0.913], [0.699, 0.374, 0.087], [0.699, 0.626, 0.587], [0.801, 0.126, 0.587], [0.801, 0.874, 0.087], [0.103, 0.125, 0.592], [0.103, 0.875, 0.092], [0.186, 0.279, 0.359], [0.186, 0.721, 0.859], [0.201, 0.470, 0.346], [0.201, 0.530, 0.846], [0.209, 0.383, 0.542], [0.209, 0.617, 0.042], [0.291, 0.117, 0.042], [0.291, 0.883, 0.542], [0.299, 0.030, 0.846], [0.299, 0.970, 0.346], [0.314, 0.221, 0.859], [0.314, 0.779, 0.359], [0.397, 0.375, 0.092], [0.397, 0.625, 0.592], [0.603, 0.375, 0.408], [0.603, 0.625, 0.908], [0.686, 0.221, 0.641], [0.686, 0.779, 0.141], [0.701, 0.030, 0.654], [0.701, 0.970, 0.154], [0.709, 0.117, 0.458], [0.709, 0.883, 0.958], [0.791, 0.383, 0.958], [0.791, 0.617, 0.458], [0.799, 0.470, 0.154], [0.799, 0.530, 0.654], [0.814, 0.279, 0.141], [0.814, 0.721, 0.641], [0.897, 0.125, 0.908], [0.897, 0.875, 0.408], [0.000, 0.120, 0.250], [0.000, 0.360, 0.750], [0.000, 0.640, 0.250], [0.000, 0.880, 0.750], [0.500, 0.140, 0.250], [0.500, 0.380, 0.750], [0.500, 0.620, 0.250], [0.500, 0.860, 0.750]], "energy_mp2020_ev_per_atom": -7.162, "crystal_system": "orthorhombic", "delta_e_f_mev_per_atom": -2652, "relative_energy_kj_per_mol_atoms": 3.64}

---

{"formula": "Li3Cr2P2O8F2", "functional": "PBE+U", "state": "optimized geometry", "lattice_angstrom": [[5.291, 0.033, -0.123], [-1.436, 10.446, 0.071], [2.208, 2.466, 6.796]], "species": ["Li", "Li", "Li", "Li", "Li", "Li", "Cr", "Cr", "Cr", "Cr", "P", "P", "P", "P", "O", "O", "O", "O", "O", "O", "O", "O", "O", "O", "O", "O", "O", "O", "O", "O", "F", "F", "F", "F"], "fractional_positions": [[0.500, 0.500, 0.500], [0.500, 0.000, 0.500], [0.241, 0.292, 0.852], [0.241, 0.792, 0.852], [0.759, 0.208, 0.148], [0.759, 0.708, 0.148], [0.000, 0.500, 0.500], [0.000, 0.000, 0.000], [0.000, 0.500, 0.000], [0.000, 0.000, 0.500], [0.323, 0.317, 0.239], [0.323, 0.817, 0.240], [0.676, 0.183, 0.760], [0.677, 0.683, 0.761], [0.127, 0.325, 0.116], [0.127, 0.825, 0.117], [0.873, 0.175, 0.883], [0.873, 0.675, 0.884], [0.253, 0.398, 0.382], [0.253, 0.898, 0.382], [0.746, 0.102, 0.618], [0.747, 0.602, 0.618], [0.308, 0.165, 0.354], [0.307, 0.665, 0.354], [0.693, 0.335, 0.646], [0.692, 0.835, 0.646], [0.618, 0.372, 0.102], [0.618, 0.872, 0.102], [0.382, 0.128, 0.898], [0.382, 0.628, 0.898], [0.167, 0.457, 0.705], [0.166, 0.957, 0.705], [0.834, 0.043, 0.295], [0.833, 0.543, 0.295]], "energy_mp2020_ev_per_atom": -7.378, "delta_e_f_mev_per_atom": -2715}

---

{"formula": "Li2CrPO4F", "functional": "PBE+U", "state": "optimized geometry", "lattice_angstrom": [[13.153, 0.000, 0.000], [0.000, 5.137, 0.000], [-6.622, 0.000, 11.516]], "species": ["Li", "Li", "Li", "Li", "Li", "Li", "Li", "Li", "Li", "Li", "Li", "Li", "Li", "Li", "Li", "Li", "Cr", "Cr", "Cr", "Cr", "Cr", "Cr", "Cr", "Cr", "P", "P", "P", "P", "P", "P", "P", "P", "O", "O", "O", "O", "O", "O", "O", "O", "O", "O", "O", "O", "O", "O", "O", "O", "O", "O", "O", "O", "O", "O", "O", "O", "O", "O", "O", "O", "O", "O", "O", "O", "F", "F", "F", "F", "F", "F", "F", "F"], "fractional_positions": [[0.081, 0.244, 0.409], [0.081, 0.256, 0.909], [0.159, 0.744, 0.330], [0.159, 0.756, 0.830], [0.343, 0.219, 0.670], [0.343, 0.281, 0.170], [0.416, 0.735, 0.330], [0.416, 0.765, 0.830], [0.584, 0.235, 0.170], [0.584, 0.265, 0.670], [0.657, 0.719, 0.830], [0.657, 0.781, 0.330], [0.841, 0.244, 0.170], [0.841, 0.256, 0.670], [0.919, 0.744, 0.091], [0.919, 0.756, 0.591], [0.075, 0.209, 0.674], [0.075, 0.291, 0.174], [0.429, 0.722, 0.602], [0.429, 0.778, 0.102], [0.571, 0.222, 0.898], [0.571, 0.278, 0.398], [0.925, 0.709, 0.826], [0.925, 0.791, 0.326], [0.167, 0.720, 0.579], [0.167, 0.780, 0.079], [0.332, 0.230, 0.416], [0.332, 0.270, 0.916], [0.668, 0.730, 0.084], [0.668, 0.770, 0.584], [0.833, 0.220, 0.921], [0.833, 0.280, 0.421], [0.104, 0.670, 0.953], [0.104, 0.830, 0.453], [0.108, 0.670, 0.145], [0.108, 0.830, 0.645], [0.164, 0.083, 0.079], [0.164, 0.417, 0.579], [0.204, 0.171, 0.851], [0.204, 0.329, 0.351], [0.297, 0.682, 0.140], [0.297, 0.818, 0.640], [0.336, 0.573, 0.912], [0.336, 0.927, 0.412], [0.390, 0.170, 0.044], [0.390, 0.330, 0.544], [0.398, 0.150, 0.856], [0.398, 0.350, 0.356], [0.602, 0.650, 0.644], [0.602, 0.850, 0.144], [0.610, 0.670, 0.456], [0.610, 0.830, 0.956], [0.664, 0.073, 0.588], [0.664, 0.427, 0.088], [0.703, 0.182, 0.360], [0.703, 0.318, 0.860], [0.796, 0.671, 0.649], [0.796, 0.829, 0.149], [0.836, 0.583, 0.421], [0.836, 0.917, 0.921], [0.892, 0.170, 0.355], [0.892, 0.330, 0.855], [0.896, 0.170, 0.547], [0.896, 0.330, 0.047], [0.018, 0.507, 0.731], [0.018, 0.993, 0.231], [0.488, 0.504, 0.777], [0.488, 0.996, 0.277], [0.512, 0.004, 0.723], [0.512, 0.496, 0.223], [0.982, 0.007, 0.769], [0.982, 0.493, 0.269]], "energy_mp2020_ev_per_atom": -7.187, "crystal_system": "monoclinic", "delta_e_f_mev_per_atom": -2677, "relative_energy_kj_per_mol_atoms": 1.23}

---

{"formula": "Li2CrPO4F", "functional": "PBE+U", "state": "optimized geometry", "lattice_angstrom": [[5.311, 0.000, 0.000], [-0.380, 5.556, 0.000], [-2.250, -2.481, 6.847]], "species": ["Li", "Li", "Li", "Li", "Cr", "Cr", "P", "P", "O", "O", "O", "O", "O", "O", "O", "O", "F", "F"], "fractional_positions": [[0.000, 0.000, 0.000], [0.029, 0.268, 0.379], [0.270, 0.528, 0.199], [0.677, 0.633, 0.649], [0.503, 0.083, 0.032], [0.517, 0.087, 0.544], [0.160, 0.436, 0.772], [0.866, 0.751, 0.311], [0.146, 0.871, 0.461], [0.158, 0.714, 0.889], [0.221, 0.283, 0.916], [0.365, 0.414, 0.660], [0.642, 0.750, 0.407], [0.798, 0.919, 0.177], [0.876, 0.470, 0.199], [0.878, 0.327, 0.609], [0.321, 0.197, 0.244], [0.663, 0.968, 0.816]], "energy_mp2020_ev_per_atom": -7.173, "crystal_system": "triclinic", "delta_e_f_mev_per_atom": -2662, "relative_energy_kj_per_mol_atoms": 2.60}

---

{"formula": "Li7Cr7P6O24F3", "functional": "PBE+U", "state": "optimized geometry", "lattice_angstrom": [[6.615, 0.000, 0.000], [-0.033, 13.573, 0.000], [-0.298, -6.771, 11.771]], "species": ["Li", "Li", "Li", "Li", "Li", "Li", "Li", "Li", "Li", "Li", "Li", "Li", "Li", "Li", "Cr", "Cr", "Cr", "Cr", "Cr", "Cr", "Cr", "Cr", "Cr", "Cr", "Cr", "Cr", "Cr", "Cr", "P", "P", "P", "P", "P", "P", "P", "P", "P", "P", "P", "P", "O", "O", "O", "O", "O", "O", "O", "O", "O", "O", "O", "O", "O", "O", "O", "O", "O", "O", "O", "O", "O", "O", "O", "O", "O", "O", "O", "O", "O", "O", "O", "O", "O", "O", "O", "O", "O", "O", "O", "O", "O", "O", "O", "O", "O", "O", "O", "O", "F", "F", "F", "F", "F", "F"], "fractional_positions": [[0.000, 0.000, 0.000], [0.000, 0.113, 0.745], [0.003, 0.368, 0.115], [0.003, 0.675, 0.541], [0.187, 0.160, 0.954], [0.489, 0.312, 0.699], [0.496, 0.755, 0.801], [0.500, 0.620, 0.127], [0.502, 0.872, 0.494], [0.502, 0.988, 0.240], [0.503, 0.416, 0.360], [0.687, 0.827, 0.288], [0.989, 0.573, 0.881], [0.996, 0.233, 0.438], [0.248, 0.494, 0.620], [0.252, 0.792, 0.044], [0.256, 0.073, 0.495], [0.256, 0.368, 0.915], [0.256, 0.912, 0.746], [0.257, 0.620, 0.323], [0.260, 0.199, 0.201], [0.748, 0.494, 0.620], [0.753, 0.369, 0.917], [0.754, 0.787, 0.039], [0.754, 0.919, 0.747], [0.757, 0.197, 0.198], [0.758, 0.073, 0.495], [0.759, 0.619, 0.327], [0.004, 0.610, 0.108], [0.008, 0.006, 0.248], [0.010, 0.428, 0.374], [0.012, 0.866, 0.505], [0.482, 0.559, 0.868], [0.503, 0.247, 0.439], [0.504, 0.675, 0.554], [0.506, 0.122, 0.737], [0.506, 0.981, 0.992], [0.511, 0.379, 0.133], [0.989, 0.741, 0.802], [0.990, 0.312, 0.686], [0.019, 0.706, 0.079], [0.025, 0.506, 0.507], [0.025, 0.740, 0.410], [0.028, 0.035, 0.373], [0.188, 0.772, 0.763], [0.189, 0.346, 0.757], [0.203, 0.947, 0.185], [0.204, 0.608, 0.168], [0.205, 0.358, 0.336], [0.207, 0.929, 0.507], [0.296, 0.637, 0.902], [0.314, 0.220, 0.486], [0.314, 0.630, 0.476], [0.315, 0.067, 0.755], [0.316, 0.054, 0.045], [0.316, 0.359, 0.060], [0.470, 0.482, 0.735], [0.480, 0.490, 0.932], [0.481, 0.125, 0.623], [0.484, 0.183, 0.306], [0.485, 0.866, 0.993], [0.490, 0.493, 0.248], [0.496, 0.807, 0.622], [0.503, 0.617, 0.631], [0.515, 0.950, 0.865], [0.521, 0.380, 0.495], [0.525, 0.247, 0.833], [0.530, 0.283, 0.163], [0.683, 0.629, 0.901], [0.699, 0.208, 0.471], [0.700, 0.638, 0.485], [0.703, 0.059, 0.733], [0.705, 0.042, 0.054], [0.705, 0.382, 0.073], [0.802, 0.777, 0.759], [0.803, 0.357, 0.761], [0.815, 0.932, 0.193], [0.816, 0.628, 0.181], [0.817, 0.918, 0.486], [0.820, 0.351, 0.344], [0.975, 0.608, 0.745], [0.980, 0.179, 0.617], [0.980, 0.496, 0.993], [0.985, 0.122, 0.250], [0.987, 0.805, 0.934], [0.990, 0.497, 0.310], [0.993, 0.370, 0.609], [0.995, 0.867, 0.621], [0.030, 0.017, 0.871], [0.042, 0.245, 0.892], [0.044, 0.221, 0.100], [0.537, 0.766, 0.142], [0.539, 0.742, 0.347], [0.543, 0.973, 0.371]], "energy_mp2020_ev_per_atom": -7.652, "crystal_system": "triclinic", "delta_e_f_mev_per_atom": -2590}

---

{"formula": "Li2CrPO4F", "functional": "PBE+U", "state": "optimized geometry", "lattice_angstrom": [[5.338, 0.000, 0.000], [-0.466, 5.468, 0.000], [-2.431, -2.572, 6.907]], "species": ["Li", "Li", "Li", "Li", "Cr", "Cr", "P", "P", "O", "O", "O", "O", "O", "O", "O", "O", "F", "F"], "fractional_positions": [[0.000, 0.000, 0.000], [0.005, 0.361, 0.470], [0.758, 0.437, 0.744], [0.932, 0.513, 0.127], [0.427, 0.434, 0.118], [0.912, 0.918, 0.603], [0.345, 0.057, 0.373], [0.485, 0.802, 0.858], [0.174, 0.723, 0.751], [0.200, 0.091, 0.521], [0.248, 0.248, 0.263], [0.262, 0.779, 0.221], [0.573, 0.082, 0.005], [0.585, 0.603, 0.960], [0.645, 0.769, 0.717], [0.657, 0.142, 0.486], [0.830, 0.560, 0.341], [0.999, 0.292, 0.904]], "energy_mp2020_ev_per_atom": -7.146, "crystal_system": "triclinic", "delta_e_f_mev_per_atom": -2636, "relative_energy_kj_per_mol_atoms": 5.14}

---

{"formula": "Li3Cr4P2O8F9", "functional": "PBE+U", "state": "optimized geometry", "lattice_angstrom": [[6.944, 0.000, 0.000], [0.000, 14.371, 0.000], [-1.679, 0.000, 6.965]], "species": ["Li", "Li", "Li", "Li", "Li", "Li", "Cr", "Cr", "Cr", "Cr", "Cr", "Cr", "Cr", "Cr", "P", "P", "P", "P", "O", "O", "O", "O", "O", "O", "O", "O", "O", "O", "O", "O", "O", "O", "O", "O", "F", "F", "F", "F", "F", "F", "F", "F", "F", "F", "F", "F", "F", "F", "F", "F", "F", "F"], "fractional_positions": [[0.033, 0.250, 0.054], [0.215, 0.505, 0.176], [0.215, 0.995, 0.176], [0.785, 0.005, 0.824], [0.785, 0.495, 0.824], [0.967, 0.750, 0.946], [0.037, 0.750, 0.567], [0.310, 0.119, 0.813], [0.310, 0.381, 0.813], [0.475, 0.250, 0.432], [0.525, 0.750, 0.568], [0.690, 0.619, 0.187], [0.690, 0.881, 0.187], [0.963, 0.250, 0.433], [0.333, 0.601, 0.814], [0.333, 0.899, 0.814], [0.667, 0.101, 0.186], [0.667, 0.399, 0.186], [0.139, 0.659, 0.775], [0.139, 0.841, 0.775], [0.283, 0.507, 0.711], [0.283, 0.993, 0.711], [0.407, 0.588, 0.036], [0.407, 0.912, 0.036], [0.499, 0.648, 0.739], [0.499, 0.852, 0.739], [0.501, 0.148, 0.261], [0.501, 0.352, 0.261], [0.593, 0.088, 0.964], [0.593, 0.412, 0.964], [0.717, 0.007, 0.289], [0.717, 0.493, 0.289], [0.861, 0.159, 0.225], [0.861, 0.341, 0.225], [0.062, 0.151, 0.622], [0.062, 0.349, 0.622], [0.136, 0.087, 0.985], [0.136, 0.413, 0.985], [0.191, 0.250, 0.316], [0.251, 0.750, 0.440], [0.297, 0.250, 0.907], [0.448, 0.153, 0.616], [0.448, 0.347, 0.616], [0.552, 0.653, 0.384], [0.552, 0.847, 0.384], [0.703, 0.750, 0.093], [0.749, 0.250, 0.560], [0.809, 0.750, 0.684], [0.864, 0.587, 0.015], [0.864, 0.913, 0.015], [0.938, 0.651, 0.378], [0.938, 0.849, 0.378]], "energy_mp2020_ev_per_atom": -7.109, "crystal_system": "monoclinic", "delta_e_f_mev_per_atom": -2803}

---

{"formula": "Li2CrPO4F", "functional": "PBE+U", "state": "optimized geometry", "lattice_angstrom": [[-4.416, -3.645, -4.738], [3.534, -6.826, 1.731], [-6.424, -2.701, 3.090]], "species": ["Li", "Li", "Li", "Li", "Li", "Li", "Li", "Li", "Cr", "Cr", "Cr", "Cr", "P", "P", "P", "P", "O", "O", "O", "O", "O", "O", "O", "O", "O", "O", "O", "O", "O", "O", "O", "O", "F", "F", "F", "F"], "fractional_positions": [[0.595, 0.829, 0.156], [0.095, 0.329, 0.156], [0.692, 0.176, 0.846], [0.192, 0.676, 0.846], [0.254, 0.748, 0.471], [0.754, 0.248, 0.471], [0.369, 0.173, 0.820], [0.869, 0.673, 0.820], [0.497, 0.501, 0.012], [0.018, 0.000, 0.497], [0.997, 0.001, 0.012], [0.518, 0.500, 0.497], [0.501, 0.146, 0.231], [0.001, 0.646, 0.231], [0.503, 0.854, 0.780], [0.003, 0.354, 0.780], [0.467, 0.730, 0.642], [0.967, 0.230, 0.642], [0.540, 0.264, 0.370], [0.040, 0.764, 0.370], [0.641, 0.004, 0.682], [0.141, 0.504, 0.682], [0.593, 0.747, 0.903], [0.093, 0.247, 0.903], [0.415, 0.251, 0.103], [0.915, 0.751, 0.103], [0.701, 0.065, 0.081], [0.201, 0.565, 0.081], [0.367, 0.996, 0.334], [0.867, 0.496, 0.334], [0.298, 0.931, 0.912], [0.798, 0.431, 0.912], [0.550, 0.354, 0.708], [0.050, 0.854, 0.708], [0.470, 0.630, 0.292], [0.970, 0.130, 0.292]], "energy_mp2020_ev_per_atom": -7.159, "delta_e_f_mev_per_atom": -2649, "relative_energy_kj_per_mol_atoms": 3.92}

---

Sequential electronic total energy output: -0.484; -0.497; -0.486; -0.485; -0.513; -0.483; -0.473; -0.484 Ry per atom